{"formula": "LiFePO4", "functional": "GGA+U", "state": "optimized geometry", "polymorph_energy_ev_per_atom": 0.092, "ef_kj_per_mol_atoms": -230, "dft_energy_ev_per_atom": -6.7572, "vol_a3_per_cell": 269, "cell": [[-5.055, -2.563, -0.613], [-1.479, 1.616, 5.434], [-3.125, 6.855, -2.889]], "species": ["Li", "Li", "Li", "Li", "Fe", "Fe", "Fe", "Fe", "P", "P", "P", "P", "O", "O", "O", "O", "O", "O", "O", "O", "O", "O", "O", "O", "O", "O", "O", "O"], "frac_coords": [[0.000, 0.000, 0.000], [0.500, 0.500, 0.500], [0.500, 0.000, 0.000], [0.000, 0.500, 0.500], [0.750, 0.750, 0.750], [0.250, 0.750, 0.250], [0.250, 0.250, 0.250], [0.750, 0.250, 0.750], [0.750, 0.500, 0.121], [0.250, 0.000, 0.621], [0.750, 0.000, 0.379], [0.250, 0.500, 0.879], [0.750, 0.779, 0.487], [0.250, 0.279, 0.987], [0.750, 0.279, 0.013], [0.250, 0.780, 0.513], [0.750, 0.220, 0.487], [0.250, 0.720, 0.987], [0.750, 0.720, 0.013], [0.250, 0.220, 0.513], [0.973, 0.500, 0.237], [0.473, 0.000, 0.737], [0.527, 0.500, 0.237], [0.027, 0.000, 0.737], [0.527, 0.000, 0.263], [0.027, 0.500, 0.763], [0.973, 0.000, 0.263], [0.473, 0.500, 0.763]]}